! Li3BiP2O8 PBE-GGA relaxed; values from VASP
! SG   No. 1
&SYSTEM
  ibrav = 0, nat = 42, ntyp = 4
/
ATOMIC_SPECIES
Li 6.94 Li.upf
Bi 208.98 Bi.upf
P 30.97 P.upf
O 16.00 O.upf
CELL_PARAMETERS angstrom
7.675 0.000 0.000
0.001 8.533 0.000
0.003 4.264 7.394
ATOMIC_POSITIONS crystal
Li 0.000 0.000 0.000
Li 0.000 0.330 0.358
Li 0.005 0.635 0.694
Li 0.733 0.314 0.036
Li 0.733 0.981 0.672
Li 0.739 0.670 0.344
Li 0.868 0.989 0.351
Li 0.869 0.322 0.684
Li 0.882 0.649 0.026
Bi 0.316 0.322 0.682
Bi 0.375 0.686 0.000
Bi 0.418 0.987 0.350
P 0.111 0.963 0.680
P 0.114 0.317 0.046
P 0.115 0.684 0.321
P 0.620 0.348 0.353
P 0.623 0.626 0.706
P 0.624 0.990 0.988
O 0.093 0.571 0.228
O 0.097 0.870 0.889
O 0.102 0.239 0.913
O 0.104 0.174 0.595
O 0.107 0.526 0.933
O 0.113 0.556 0.534
O 0.288 0.261 0.153
O 0.288 0.899 0.642
O 0.291 0.787 0.257
O 0.446 0.019 0.887
O 0.446 0.405 0.403
O 0.448 0.520 0.761
O 0.625 0.075 0.113
O 0.628 0.137 0.432
O 0.628 0.741 0.801
O 0.632 0.445 0.145
O 0.636 0.756 0.496
O 0.644 0.781 0.103
O 0.774 0.074 0.850
O 0.775 0.401 0.434
O 0.779 0.493 0.766
O 0.958 0.241 0.179
O 0.959 0.905 0.601
O 0.963 0.821 0.272


! Li3BiP2O8 PBE-GGA relaxed; values from VASP
! SG   No. 15
&SYSTEM
  ibrav = 0, nat = 28, ntyp = 4
/
ATOMIC_SPECIES
Li 6.94 Li.upf
Bi 208.98 Bi.upf
P 30.97 P.upf
O 16.00 O.upf
CELL_PARAMETERS angstrom
4.629 -2.378 0.000
4.629 2.378 0.000
-1.945 0.000 15.019
ATOMIC_POSITIONS crystal
Li 0.049 0.951 0.750
Li 0.294 0.354 0.320
Li 0.354 0.294 0.820
Li 0.646 0.706 0.180
Li 0.706 0.646 0.680
Li 0.951 0.049 0.250
Bi 0.000 0.000 0.000
Bi 0.000 0.000 0.500
P 0.312 0.376 0.126
P 0.376 0.312 0.626
P 0.624 0.688 0.374
P 0.688 0.624 0.874
O 0.005 0.384 0.107
O 0.165 0.511 0.705
O 0.212 0.726 0.148
O 0.253 0.493 0.541
O 0.274 0.788 0.352
O 0.384 0.005 0.607
O 0.489 0.835 0.795
O 0.493 0.253 0.041
O 0.507 0.747 0.959
O 0.511 0.165 0.205
O 0.616 0.995 0.393
O 0.726 0.212 0.648
O 0.747 0.507 0.459
O 0.788 0.274 0.852
O 0.835 0.489 0.295
O 0.995 0.616 0.893


! LiBi3P6O20 PBE-GGA relaxed; values from VASP
! SG   No. 20
&SYSTEM
  ibrav = 0, nat = 60, ntyp = 4
/
ATOMIC_SPECIES
Li 6.94 Li.upf
Bi 208.98 Bi.upf
P 30.97 P.upf
O 16.00 O.upf
CELL_PARAMETERS angstrom
5.215 -6.901 0.000
5.215 6.901 0.000
0.000 0.000 12.950
ATOMIC_POSITIONS crystal
Li 0.066 0.066 0.000
Li 0.934 0.934 0.500
Bi 0.218 0.782 0.250
Bi 0.258 0.742 0.750
Bi 0.376 0.376 0.000
Bi 0.624 0.624 0.500
Bi 0.742 0.258 0.250
Bi 0.782 0.218 0.750
P 0.109 0.370 0.333
P 0.200 0.298 0.785
P 0.217 0.636 0.482
P 0.298 0.200 0.215
P 0.364 0.783 0.018
P 0.370 0.109 0.667
P 0.630 0.891 0.167
P 0.636 0.217 0.518
P 0.702 0.800 0.715
P 0.783 0.364 0.982
P 0.800 0.702 0.285
P 0.891 0.630 0.833
O 0.026 0.782 0.845
O 0.043 0.233 0.728
O 0.074 0.490 0.258
O 0.128 0.742 0.424
O 0.153 0.447 0.444
O 0.183 0.620 0.595
O 0.199 0.212 0.114
O 0.212 0.199 0.886
O 0.218 0.974 0.655
O 0.233 0.043 0.272
O 0.258 0.872 0.076
O 0.261 0.475 0.817
O 0.276 0.334 0.298
O 0.314 0.605 0.053
O 0.334 0.276 0.702
O 0.380 0.817 0.905
O 0.395 0.686 0.447
O 0.447 0.153 0.556
O 0.475 0.261 0.183
O 0.490 0.074 0.742
O 0.510 0.926 0.242
O 0.525 0.739 0.683
O 0.553 0.847 0.056
O 0.605 0.314 0.947
O 0.620 0.183 0.405
O 0.666 0.724 0.202
O 0.686 0.395 0.553
O 0.724 0.666 0.798
O 0.739 0.525 0.317
O 0.742 0.128 0.576
O 0.767 0.957 0.772
O 0.782 0.026 0.155
O 0.788 0.801 0.386
O 0.801 0.788 0.614
O 0.817 0.380 0.095
O 0.847 0.553 0.944
O 0.872 0.258 0.924
O 0.926 0.510 0.758
O 0.957 0.767 0.228
O 0.974 0.218 0.345


! LiBi2P3O12 PBE-GGA relaxed; values from VASP
! SG   No. 7
&SYSTEM
  ibrav = 0, nat = 72, ntyp = 4
/
ATOMIC_SPECIES
Li 6.94 Li.upf
Bi 208.98 Bi.upf
P 30.97 P.upf
O 16.00 O.upf
CELL_PARAMETERS angstrom
9.171 0.000 0.000
0.000 9.259 0.000
-9.057 0.000 12.951
ATOMIC_POSITIONS crystal
Li 0.000 0.020 0.000
Li 0.000 0.980 0.500
Li 0.582 0.478 0.500
Li 0.582 0.522 0.000
Bi 0.100 0.309 0.558
Bi 0.100 0.691 0.058
Bi 0.333 0.283 0.291
Bi 0.333 0.717 0.791
Bi 0.600 0.194 0.068
Bi 0.600 0.806 0.568
Bi 0.848 0.222 0.797
Bi 0.848 0.778 0.297
P 0.017 0.147 0.331
P 0.017 0.853 0.831
P 0.242 0.349 0.835
P 0.242 0.651 0.335
P 0.412 0.004 0.676
P 0.412 0.996 0.176
P 0.528 0.494 0.183
P 0.528 0.506 0.683
P 0.719 0.155 0.528
P 0.719 0.845 0.028
P 0.915 0.348 0.030
P 0.915 0.652 0.530
O 0.005 0.000 0.375
O 0.005 0.000 0.875
O 0.009 0.273 0.391
O 0.009 0.727 0.891
O 0.076 0.335 0.143
O 0.076 0.665 0.643
O 0.094 0.359 0.853
O 0.094 0.641 0.353
O 0.172 0.304 0.725
O 0.172 0.696 0.225
O 0.201 0.144 0.344
O 0.201 0.856 0.844
O 0.230 0.078 0.601
O 0.230 0.922 0.101
O 0.344 0.497 0.867
O 0.344 0.503 0.367
O 0.374 0.400 0.619
O 0.374 0.600 0.119
O 0.381 0.228 0.904
O 0.381 0.772 0.404
O 0.412 0.075 0.263
O 0.412 0.925 0.763
O 0.418 0.112 0.105
O 0.418 0.888 0.605
O 0.503 0.380 0.245
O 0.503 0.620 0.745
O 0.546 0.418 0.100
O 0.546 0.582 0.600
O 0.571 0.105 0.729
O 0.571 0.895 0.229
O 0.579 0.275 0.455
O 0.579 0.725 0.955
O 0.627 0.006 0.502
O 0.627 0.994 0.002
O 0.704 0.431 0.763
O 0.704 0.569 0.263
O 0.737 0.346 0.023
O 0.737 0.654 0.523
O 0.786 0.215 0.635
O 0.786 0.785 0.135
O 0.869 0.143 0.512
O 0.869 0.857 0.012
O 0.870 0.157 0.214
O 0.870 0.843 0.714
O 0.910 0.497 0.985
O 0.910 0.503 0.485
O 0.918 0.221 0.967
O 0.918 0.779 0.467


! LiBi2P3O12 PBE-GGA relaxed; values from VASP
! SG   No. 15
&SYSTEM
  ibrav = 0, nat = 36, ntyp = 4
/
ATOMIC_SPECIES
Li 6.94 Li.upf
Bi 208.98 Bi.upf
P 30.97 P.upf
O 16.00 O.upf
CELL_PARAMETERS angstrom
7.799 -4.664 0.000
7.799 4.664 0.000
-4.993 0.000 7.664
ATOMIC_POSITIONS crystal
Li 0.113 0.887 0.750
Li 0.887 0.113 0.250
Bi 0.148 0.647 0.350
Bi 0.353 0.852 0.150
Bi 0.647 0.148 0.850
Bi 0.852 0.353 0.650
P 0.042 0.243 0.067
P 0.243 0.042 0.567
P 0.432 0.568 0.750
P 0.568 0.432 0.250
P 0.757 0.958 0.433
P 0.958 0.757 0.933
O 0.016 0.772 0.127
O 0.033 0.431 0.193
O 0.085 0.812 0.913
O 0.114 0.234 0.607
O 0.188 0.915 0.587
O 0.228 0.984 0.373
O 0.234 0.114 0.107
O 0.251 0.587 0.601
O 0.413 0.749 0.899
O 0.417 0.462 0.306
O 0.431 0.033 0.693
O 0.462 0.417 0.806
O 0.538 0.583 0.194
O 0.569 0.967 0.307
O 0.583 0.538 0.694
O 0.587 0.251 0.101
O 0.749 0.413 0.399
O 0.766 0.886 0.893
O 0.772 0.016 0.627
O 0.812 0.085 0.413
O 0.886 0.766 0.393
O 0.915 0.188 0.087
O 0.967 0.569 0.807
O 0.984 0.228 0.873


! Li3BiP2O8 PBE-GGA relaxed; values from VASP
! SG   No. 11
&SYSTEM
  ibrav = 0, nat = 28, ntyp = 4
/
ATOMIC_SPECIES
Li 6.94 Li.upf
Bi 208.98 Bi.upf
P 30.97 P.upf
O 16.00 O.upf
CELL_PARAMETERS angstrom
6.757 0.000 0.000
0.000 5.348 0.000
-1.012 0.000 9.471
ATOMIC_POSITIONS crystal
Li 0.030 0.250 0.229
Li 0.196 0.250 0.953
Li 0.239 0.750 0.463
Li 0.761 0.250 0.537
Li 0.804 0.750 0.047
Li 0.970 0.750 0.771
Bi 0.488 0.250 0.234
Bi 0.512 0.750 0.766
P 0.231 0.250 0.557
P 0.286 0.750 0.052
P 0.714 0.250 0.948
P 0.769 0.750 0.443
O 0.027 0.250 0.610
O 0.197 0.509 0.112
O 0.197 0.991 0.112
O 0.223 0.750 0.887
O 0.226 0.250 0.392
O 0.350 0.008 0.606
O 0.350 0.492 0.606
O 0.484 0.250 0.917
O 0.516 0.750 0.083
O 0.650 0.508 0.394
O 0.650 0.992 0.394
O 0.774 0.750 0.608
O 0.777 0.250 0.113
O 0.803 0.009 0.888
O 0.803 0.491 0.888
O 0.973 0.750 0.390


! LiBi2P3O12 PBE-GGA relaxed; values from VASP
! SG   No. 4
&SYSTEM
  ibrav = 0, nat = 72, ntyp = 4
/
ATOMIC_SPECIES
Li 6.94 Li.upf
Bi 208.98 Bi.upf
P 30.97 P.upf
O 16.00 O.upf
CELL_PARAMETERS angstrom
8.940 0.000 0.000
0.000 9.341 0.000
-0.118 0.000 12.782
ATOMIC_POSITIONS crystal
Li 0.172 0.000 0.398
Li 0.180 0.417 0.061
Li 0.820 0.917 0.939
Li 0.828 0.500 0.602
Bi 0.001 0.033 0.640
Bi 0.010 0.958 0.145
Bi 0.476 0.975 0.862
Bi 0.484 0.540 0.644
Bi 0.516 0.040 0.356
Bi 0.524 0.475 0.138
Bi 0.990 0.458 0.855
Bi 0.999 0.533 0.360
P 0.132 0.126 0.917
P 0.137 0.390 0.601
P 0.207 0.245 0.253
P 0.299 0.757 0.246
P 0.347 0.608 0.896
P 0.359 0.885 0.581
P 0.641 0.385 0.419
P 0.653 0.108 0.104
P 0.701 0.257 0.754
P 0.793 0.745 0.747
P 0.863 0.890 0.399
P 0.868 0.626 0.083
O 0.011 0.436 0.682
O 0.013 0.030 0.977
O 0.067 0.302 0.306
O 0.100 0.110 0.801
O 0.107 0.236 0.566
O 0.109 0.289 0.948
O 0.127 0.500 0.514
O 0.164 0.132 0.167
O 0.186 0.598 0.844
O 0.203 0.927 0.538
O 0.204 0.817 0.150
O 0.211 0.645 0.308
O 0.291 0.086 0.951
O 0.291 0.359 0.190
O 0.293 0.394 0.657
O 0.301 0.172 0.344
O 0.334 0.881 0.325
O 0.354 0.508 0.993
O 0.372 0.719 0.564
O 0.373 0.764 0.925
O 0.377 0.922 0.697
O 0.442 0.700 0.197
O 0.467 0.556 0.816
O 0.484 0.968 0.520
O 0.516 0.468 0.480
O 0.533 0.056 0.184
O 0.558 0.200 0.803
O 0.623 0.422 0.303
O 0.627 0.264 0.075
O 0.628 0.219 0.436
O 0.646 0.008 0.007
O 0.666 0.381 0.675
O 0.699 0.672 0.656
O 0.707 0.894 0.343
O 0.709 0.586 0.049
O 0.709 0.859 0.810
O 0.789 0.145 0.692
O 0.796 0.317 0.850
O 0.797 0.427 0.462
O 0.814 0.098 0.156
O 0.836 0.632 0.833
O 0.873 0.000 0.486
O 0.891 0.789 0.052
O 0.893 0.736 0.434
O 0.900 0.610 0.199
O 0.933 0.802 0.694
O 0.987 0.530 0.023
O 0.989 0.936 0.318


! LiBiP4O12 PBE-GGA relaxed; values from VASP
! SG   No. 15
&SYSTEM
  ibrav = 0, nat = 36, ntyp = 4
/
ATOMIC_SPECIES
Li 6.94 Li.upf
Bi 208.98 Bi.upf
P 30.97 P.upf
O 16.00 O.upf
CELL_PARAMETERS angstrom
4.042 -5.947 0.000
4.042 5.947 0.000
-1.138 0.000 10.316
ATOMIC_POSITIONS crystal
Li 0.171 0.829 0.750
Li 0.829 0.171 0.250
Bi 0.119 0.881 0.250
Bi 0.881 0.119 0.750
P 0.237 0.287 0.056
P 0.286 0.658 0.494
P 0.287 0.237 0.556
P 0.342 0.714 0.006
P 0.658 0.286 0.994
P 0.713 0.763 0.444
P 0.714 0.342 0.506
P 0.763 0.713 0.944
O 0.116 0.607 0.389
O 0.122 0.200 0.927
O 0.158 0.187 0.177
O 0.187 0.158 0.677
O 0.192 0.694 0.896
O 0.200 0.122 0.427
O 0.265 0.516 0.088
O 0.304 0.464 0.554
O 0.306 0.808 0.604
O 0.393 0.884 0.111
O 0.464 0.304 0.054
O 0.484 0.735 0.412
O 0.516 0.265 0.588
O 0.536 0.696 0.946
O 0.607 0.116 0.889
O 0.694 0.192 0.396
O 0.696 0.536 0.446
O 0.735 0.484 0.912
O 0.800 0.878 0.573
O 0.808 0.306 0.104
O 0.813 0.842 0.323
O 0.842 0.813 0.823
O 0.878 0.800 0.073
O 0.884 0.393 0.611


no.,formation energy from the elements (eV per atom),E above lowest polymorph (meV per atom)
1,-2.56,0.0
2,-2.55,17.0
3,-2.43,7.9
4,-2.28,16.3
5,-2.25,46.1
6,-2.51,55.7
7,-2.29,9.5
8,-2.49,70.9